Here is K2NaCl3 after structural relaxation from the Materials Project database. Energies are from GGA-PBE.

abc: 4.4056 4.4056 18.3348
angles: 90.00 90.00 90.00
Space group I4/mmm (No. 139)
Symmetry-distinct sites (fractional):
K1 0.0000 0.0000 0.1657 [4 per cell]
Na1 0.0000 0.0000 0.5000 [2 per cell]
Cl1 0.0000 0.0000 0.0000 [2 per cell]
Cl2 0.0000 0.0000 0.3421 [4 per cell]

DFT formation energy	-2.18	eV/atom
V	29.7	Å³/atom
M_tot	0.00	μB per cell
excess energy over the best structure of this formula in the dataset	14	meV/atom

---

Here is KNa4Cl5 after structural relaxation from the Materials Project database. Energies are from GGA-PBE.

abc: 4.1012 5.9196 20.6780
angles: 90.00 90.00 90.00
Space group Immm (No. 71)
Symmetry-distinct sites (fractional):
K1 0.0000 0.0000 0.0000 [2 per cell]
Na1 0.0000 0.0000 0.2035 [4 per cell]
Na2 0.0000 0.0000 0.3964 [4 per cell]
Cl1 0.0000 0.5000 0.0000 [2 per cell]
Cl2 0.0000 0.5000 0.1988 [4 per cell]
Cl3 0.0000 0.5000 0.3888 [4 per cell]

DFT formation energy	-2.12	eV/atom
V	25.1	Å³/atom
excess energy over the best structure of this formula in the dataset	7	meV/atom

---

Here is K2NaCl3 after structural relaxation from the Materials Project database. Energies are from GGA-PBE.

abc: 4.3404 4.3404 10.7417
angles: 90.00 90.00 120.00
Space group P-3m1 (No. 164)
Symmetry-distinct sites (fractional):
K1 0.3333 0.6667 0.1788 [2 per cell]
Na1 0.0000 0.0000 0.5000 [1 per cell]
Cl1 0.0000 0.0000 0.0000 [1 per cell]
Cl2 0.3333 0.6667 0.6428 [2 per cell]

DFT formation energy	-2.19	eV/atom
V	29.2	Å³/atom
excess energy over the best structure of this formula in the dataset	0	meV/atom